Below is crystalline Lu2WO6 at its relaxed geometry, with properties calculated at the GGA+U level.

Properties
E_form (eV/atom): -3.33
Largest piezoelectric modulus (C/m2): 0.69

a b c (Å): 5.1928 9.0034 9.8555
angles (deg): 90.00 90.00 90.00
Positions (direct):
Lu 0.0189 0.1027 0.4655
Lu 0.0385 0.2195 0.8723
Lu 0.4615 0.7805 0.3723
Lu 0.4811 0.8973 0.9655
Lu 0.5189 0.3973 0.5345
Lu 0.5385 0.2805 0.1277
Lu 0.9615 0.7195 0.6277
Lu 0.9811 0.6027 0.0345
W 0.0388 0.4944 0.3473
W 0.4612 0.5056 0.8473
W 0.5388 0.0056 0.6527
W 0.9612 0.9944 0.1527
O 0.0903 0.8402 0.0296
O 0.1750 0.6402 0.8186
O 0.1795 0.9530 0.3018
O 0.1958 0.6427 0.2339
O 0.2359 0.1159 0.0667
O 0.2498 0.4096 0.9962
O 0.2502 0.5904 0.4962
O 0.2641 0.8841 0.5667
O 0.3042 0.3573 0.7339
O 0.3205 0.0470 0.8018
O 0.3250 0.3598 0.3186
O 0.4097 0.1598 0.5296
O 0.5903 0.6598 0.9704
O 0.6750 0.8598 0.1814
O 0.6795 0.5470 0.6982
O 0.6958 0.8573 0.7661
O 0.7359 0.3841 0.9333
O 0.7498 0.0904 0.0038
O 0.7502 0.9096 0.5038
O 0.7641 0.6159 0.4333
O 0.8042 0.1427 0.2661
O 0.8205 0.4530 0.1982
O 0.8250 0.1402 0.6814
O 0.9097 0.3402 0.4704